A relaxed structure of MgCd2, computed with PBE-GGA.

```
18
Lattice="-2.184 -2.544 4.256 4.165 -2.236 -2.647 10.048 7.385 9.571" Properties=species:S:1:pos:R:3 pbc="T T T"
Mg 7.070 1.352 4.437
Mg 10.425 3.818 7.632
Mg 1.677 1.233 1.598
Mg 8.371 6.152 7.973
Mg 4.959 1.254 6.743
Mg 1.604 -1.212 3.547
Cd 6.786 -0.621 1.961
Cd 8.306 3.713 9.931
Cd 5.024 3.693 4.786
Cd -0.729 -0.849 1.420
Cd 1.389 -0.746 -0.883
Cd 4.671 -0.725 4.262
Cd 8.019 1.737 7.454
Cd 1.320 -3.185 1.072
Cd 5.902 1.636 9.753
Cd 4.737 1.716 2.309
Cd 5.972 4.075 7.799
Cd 3.723 -1.107 1.249
```

Values from the calculation:
As for the total energy: -1.213 eV/atom. As for the formation energy: -0.064 eV/atom.

A relaxed structure of Mg149Cd, computed with PBE-GGA.

```
150
Lattice="15.907 0.000 0.000 -7.954 13.776 0.000 0.000 0.000 15.592" Properties=species:S:1:pos:R:3 pbc="T T T"
Mg 0.000 0.000 0.000
Mg 0.000 0.000 5.198
Mg 0.000 0.000 10.394
Mg 14.316 2.754 0.000
Mg 14.315 2.753 5.199
Mg 14.315 2.753 10.393
Mg -3.180 5.510 0.000
Mg -4.772 8.267 0.000
Mg 9.543 11.021 0.000
Mg 9.542 11.021 5.199
Mg 9.542 11.021 10.393
Mg -3.175 5.514 5.201
Mg -3.175 5.514 10.391
Mg -4.766 8.269 5.201
Mg -4.766 8.269 10.391
Mg 1.591 0.918 2.599
Mg 1.592 0.919 7.796
Mg 1.591 0.918 12.992
Mg 0.000 3.673 2.598
Mg 0.000 3.673 12.994
Mg -1.590 6.431 2.600
Mg -1.590 6.431 12.992
Mg -3.179 9.184 2.600
Mg -3.179 9.184 12.992
Mg -4.773 11.939 2.598
Mg -4.773 11.939 12.994
Mg 0.000 3.680 7.796
Mg -4.767 11.936 7.796
Mg -1.576 6.436 7.796
Mg -3.167 9.193 7.796
Mg 3.181 0.001 0.000
Mg 3.180 0.002 5.199
Mg 3.180 0.002 10.393
Mg 1.592 2.754 0.000
Mg 1.592 2.753 5.199
Mg 1.592 2.753 10.393
Mg 0.000 5.502 5.190
Mg 0.000 5.502 10.402
Mg 0.000 5.511 0.000
Mg -1.590 8.266 0.000
Mg -3.181 11.020 0.000
Mg -3.189 11.025 5.190
Mg -3.189 11.025 10.402
Mg -1.584 8.269 5.208
Mg -1.584 8.269 10.384
Mg 4.773 0.916 2.600
Mg 4.774 0.917 7.796
Mg 4.773 0.916 12.992
Mg 3.180 3.675 2.600
Mg 3.181 3.676 7.796
Mg 3.180 3.675 12.992
Mg 1.590 6.431 2.600
Mg 1.576 6.436 7.796
Mg 1.590 6.431 12.992
Mg 0.000 9.184 2.605
Mg 0.000 9.184 12.987
Mg -1.592 11.923 7.796
Mg -1.589 11.937 2.600
Mg -1.589 11.937 12.992
Mg -1.592 13.775 0.000
Mg 4.771 2.754 0.000
Mg 4.773 2.756 5.198
Mg 4.773 2.756 10.394
Mg 3.180 5.510 0.000
Mg 3.175 5.514 5.201
Mg 3.175 5.514 10.391
Mg 1.590 8.266 0.000
Mg 1.584 8.269 5.208
Mg 1.584 8.269 10.384
Mg 0.000 11.013 5.208
Mg 0.000 11.013 10.384
Mg 0.000 11.020 0.000
Mg -1.590 13.769 5.201
Mg -1.590 13.769 10.391
Mg 7.954 0.907 7.796
Mg 7.954 0.917 2.600
Mg 7.954 0.917 12.992
Mg 6.363 3.674 2.597
Mg 6.362 3.673 7.796
Mg 6.363 3.674 12.994
Mg 4.771 6.429 2.600
Mg 4.763 6.434 7.796
Mg 4.771 6.429 12.992
Mg 3.179 9.184 2.600
Mg 3.167 9.193 7.796
Mg 3.179 9.184 12.992
Mg 1.592 11.923 7.796
Mg 1.589 11.937 2.600
Mg 1.589 11.937 12.992
Mg 1.592 13.775 0.000
Mg 7.954 2.754 0.000
Mg 7.954 2.753 5.197
Mg 7.954 2.753 10.395
Mg 6.362 5.511 0.000
Mg 6.361 5.512 5.197
Mg 6.361 5.512 10.395
Mg 4.772 8.267 0.000
Mg 4.766 8.269 5.201
Mg 4.766 8.269 10.391
Mg 3.181 11.020 0.000
Mg 1.590 13.769 5.201
Mg 1.590 13.769 10.391
Mg 3.189 11.025 5.190
Mg 3.189 11.025 10.402
Mg 11.134 0.916 2.600
Mg 11.133 0.917 7.796
Mg 11.134 0.916 12.992
Mg 9.544 3.674 2.597
Mg 9.545 3.673 7.796
Mg 9.544 3.674 12.994
Mg 7.954 6.429 2.597
Mg 7.954 6.430 7.796
Mg 7.954 6.429 12.994
Mg 6.361 9.184 2.600
Mg 6.361 9.183 7.796
Mg 6.361 9.184 12.992
Mg 4.767 11.936 7.796
Mg 4.773 11.939 2.598
Mg 4.773 11.939 12.994
Mg 12.726 0.001 0.000
Mg 12.727 0.002 5.199
Mg 12.727 0.002 10.393
Mg 11.136 2.754 0.000
Mg 11.135 2.756 5.198
Mg 11.135 2.756 10.394
Mg 9.545 5.511 0.000
Mg 9.547 5.512 5.197
Mg 9.547 5.512 10.395
Mg 7.954 8.267 0.000
Mg 7.954 8.265 5.198
Mg 7.954 8.265 10.394
Mg 6.364 11.021 0.000
Mg 6.365 11.021 5.199
Mg 6.365 11.021 10.393
Mg 14.317 0.918 2.599
Mg 14.315 0.919 7.796
Mg 14.317 0.918 12.992
Mg 12.727 3.675 2.600
Mg 12.726 3.676 7.796
Mg 12.727 3.675 12.992
Mg 11.136 6.429 2.600
Mg 11.136 6.429 12.992
Mg 9.547 9.184 2.600
Mg 9.546 9.183 7.796
Mg 9.547 9.184 12.992
Mg 7.954 11.939 2.599
Mg 7.954 11.937 7.796
Mg 7.954 11.939 12.992
Mg 11.145 6.434 7.796
Cd 0.000 9.184 7.796
```

Values from the calculation:
As for the total energy: -1.625 eV/atom. As for the symmetry: P-6m2 (187). As for the formation energy: -0.029 eV/atom.

A relaxed structure of Mg3Cd, computed with PBE-GGA.

```
4
Lattice="3.227 0.000 0.000 0.000 5.093 0.000 0.000 0.000 5.398" Properties=species:S:1:pos:R:3 pbc="T T T"
Mg 0.000 0.000 0.000
Mg 0.000 2.547 1.808
Mg 1.614 0.000 2.703
Cd 1.614 2.547 4.497
```

Values from the calculation:
As for the total energy: -1.481 eV/atom. As for the symmetry: Pmm2 (25). As for the formation energy: -0.050 eV/atom.

- Number 2 is which compound?
  Mg149Cd